This record from the Materials Project database describes Nb3SnS6 after structural relaxation. The functional is PBE.

Structure (CIF):
```
data_Nb3SnS6
_cell_length_a 5.8461
_cell_length_b 5.8461
_cell_length_c 14.6226
_cell_angle_alpha 90.00
_cell_angle_beta 90.00
_cell_angle_gamma 120.00
_symmetry_space_group_name_H-M 'P 63/m c m'
_symmetry_Int_Tables_number 193
_symmetry_space_group_name_Hall '-P 6c 2'
loop_
_atom_site_label
_atom_site_type_symbol
_atom_site_fract_x
_atom_site_fract_y
_atom_site_fract_z
_atom_site_occupancy
Nb1 Nb 0.0000 0.0000 0.2500 1
Nb2 Nb 0.3333 0.6667 0.2500 1
Sn1 Sn 0.0000 0.0000 0.0000 1
S1 S 0.0000 0.3349 0.1431 1
```

Results
- Energy of formation from the pure elements: -1.330 eV per atom